(1)
Crystalline Na14In4Si9Ge4S3O48 at its relaxed geometry. Source: the Materials Project database, functional PBE-GGA.

The structure in POSCAR format:
```
Na14In4Si9Ge4S3O48
1.0
18.086 0.018 0.173
-4.514 7.797 0.000
0.220 0.127 22.100
Ge O S Si In Na
12 144 9 27 12 42
Cartesian
0.270 5.307 6.779 Ge
4.723 7.681 3.399 Ge
0.014 5.244 11.492 Ge
13.655 2.538 15.098 Ge
0.314 0.067 3.500 Ge
9.366 0.328 14.634 Ge
4.332 2.812 4.069 Ge
18.111 0.179 14.412 Ge
8.989 5.137 0.543 Ge
9.403 5.232 11.777 Ge
-0.046 5.161 0.436 Ge
9.379 5.482 17.902 Ge
1.752 5.134 12.848 O
0.674 6.695 7.884 O
3.215 1.177 11.614 O
0.756 1.493 15.304 O
-0.515 3.899 5.662 O
16.922 1.639 7.197 O
0.842 4.011 1.721 O
-1.432 5.224 1.648 O
9.721 1.226 2.246 O
12.084 2.904 9.357 O
7.471 0.317 18.015 O
16.393 0.058 1.982 O
5.801 6.851 15.653 O
3.016 3.011 9.286 O
9.839 1.877 15.440 O
1.261 6.527 16.455 O
5.547 3.912 3.257 O
1.671 5.366 5.560 O
7.440 5.325 10.465 O
5.178 1.105 9.230 O
14.213 4.402 0.666 O
10.079 6.574 10.742 O
3.788 1.466 5.184 O
8.344 3.616 5.520 O
5.672 1.388 16.595 O
5.699 1.024 0.617 O
15.281 2.512 5.486 O
0.997 6.517 10.578 O
10.807 5.126 13.014 O
-0.905 3.795 19.085 O
7.754 5.484 16.816 O
1.793 5.461 21.722 O
5.614 4.023 9.424 O
12.062 7.785 15.409 O
12.746 3.832 14.173 O
0.706 6.801 1.923 O
8.477 3.986 12.795 O
-2.745 7.705 20.347 O
2.541 2.122 0.601 O
13.269 1.175 20.443 O
4.081 0.813 14.165 O
3.040 2.606 16.387 O
8.642 1.777 20.379 O
5.194 6.402 2.105 O
7.878 1.634 6.870 O
0.741 1.595 9.268 O
12.269 1.177 11.711 O
-0.709 6.603 21.592 O
0.707 3.807 10.588 O
3.543 4.221 14.080 O
13.058 4.574 11.617 O
0.814 1.265 2.185 O
12.269 2.575 16.419 O
1.583 0.099 13.197 O
5.455 6.035 18.180 O
9.831 3.983 16.840 O
-1.630 5.132 7.932 O
13.006 6.254 7.018 O
15.519 2.419 11.731 O
14.325 6.555 2.166 O
14.441 4.196 16.611 O
6.500 2.912 20.482 O
10.727 5.574 5.527 O
9.804 3.975 1.744 O
12.111 7.567 9.492 O
5.276 1.118 3.024 O
12.745 6.633 4.327 O
-0.549 6.547 12.684 O
15.492 2.935 20.639 O
14.373 0.894 3.113 O
12.692 3.995 20.374 O
5.192 4.313 0.622 O
14.349 1.260 9.536 O
-0.691 4.018 12.791 O
14.837 4.153 3.297 O
14.786 4.084 9.387 O
2.009 4.985 19.038 O
3.820 6.393 12.964 O
-1.584 5.440 16.540 O
3.211 7.746 15.329 O
8.040 6.379 5.637 O
13.126 0.979 14.266 O
10.558 1.626 18.063 O
1.352 1.523 17.960 O
2.075 0.540 6.858 O
3.825 4.043 20.442 O
12.971 4.155 5.611 O
8.619 6.781 19.031 O
2.958 7.531 9.229 O
10.923 0.379 6.979 O
7.187 5.074 8.028 O
7.355 0.120 2.067 O
9.760 6.679 1.888 O
-3.459 6.457 15.487 O
4.175 1.221 20.378 O
14.578 1.524 16.471 O
-0.535 3.763 21.523 O
-0.592 6.942 18.871 O
-0.305 1.537 4.483 O
-0.481 1.729 20.355 O
12.765 1.270 5.451 O
8.205 3.871 19.150 O
15.362 2.919 14.383 O
8.281 1.485 4.448 O
10.099 3.706 7.895 O
9.872 3.838 10.637 O
10.809 5.469 21.740 O
14.566 6.053 18.080 O
1.058 3.974 7.854 O
-2.585 7.526 4.247 O
3.777 4.385 11.650 O
3.951 4.050 5.376 O
8.290 6.581 21.760 O
9.718 1.523 9.410 O
4.034 6.103 6.875 O
8.557 6.594 12.884 O
5.391 4.197 16.457 O
3.585 6.523 4.207 O
0.601 3.758 16.544 O
6.214 2.475 5.408 O
-0.781 6.463 5.666 O
11.514 2.078 0.681 O
17.342 1.411 13.223 O
6.608 2.980 14.271 O
5.648 6.450 9.371 O
2.784 3.024 3.116 O
6.526 2.297 11.654 O
10.761 5.110 19.046 O
8.439 1.331 13.165 O
-1.608 5.385 10.402 O
7.529 5.146 1.864 O
11.649 2.998 3.224 O
9.777 7.056 8.061 O
12.656 6.668 20.358 O
12.986 6.553 13.346 O
3.661 6.741 20.472 O
10.097 6.676 16.721 O
6.235 7.582 4.327 O
6.393 7.699 20.417 O
16.373 0.563 18.061 O
14.616 1.019 0.686 O
10.663 0.143 13.340 O
8.501 3.766 21.609 O
-3.256 6.502 9.172 O
-2.435 5.257 9.163 S
3.264 5.042 12.884 S
5.901 0.347 1.929 S
7.968 3.104 20.373 S
14.999 5.556 16.731 S
-1.127 3.065 20.342 S
14.944 0.249 1.916 S
6.509 5.223 9.348 S
7.678 2.277 5.541 S
14.995 5.039 1.971 Si
3.200 0.200 12.935 Si
7.246 7.809 5.635 Si
8.017 7.497 20.386 Si
12.285 0.231 13.033 Si
15.586 0.205 16.675 Si
16.347 2.750 13.068 Si
3.289 5.592 5.540 Si
10.646 2.551 16.720 Si
10.451 3.008 9.334 Si
12.485 5.020 13.064 Si
1.322 7.394 9.217 Si
5.903 4.879 1.951 Si
1.702 2.616 1.901 Si
6.084 5.635 16.737 Si
11.711 5.321 20.357 Si
2.906 0.079 5.537 Si
7.474 2.684 12.950 Si
10.669 2.585 1.996 Si
2.824 5.338 20.398 Si
1.372 3.107 9.235 Si
-1.218 2.373 5.593 Si
-1.102 7.561 20.287 Si
12.364 5.664 5.648 Si
10.469 7.554 9.458 Si
1.437 2.340 16.538 Si
6.672 0.103 16.610 Si
13.549 2.783 21.920 In
9.090 0.093 7.884 In
4.605 2.719 21.857 In
4.762 2.613 15.097 In
4.827 7.856 18.872 In
0.316 5.338 17.945 In
13.730 7.879 18.946 In
9.236 5.361 7.072 In
4.591 2.476 10.780 In
0.090 0.173 7.762 In
13.576 2.654 10.958 In
13.588 2.750 4.152 In
10.527 2.654 12.965 Na
-1.647 7.635 1.741 Na
6.347 0.367 20.093 Na
0.068 5.316 14.696 Na
14.799 5.400 20.571 Na
16.551 2.900 16.526 Na
4.529 2.454 7.391 Na
15.400 0.390 20.242 Na
3.143 4.990 16.653 Na
2.900 5.426 1.835 Na
13.626 2.578 7.487 Na
9.241 0.118 11.295 Na
-0.071 5.134 3.689 Na
13.680 7.810 11.301 Na
1.769 7.758 13.047 Na
4.627 2.745 18.331 Na
12.471 0.133 16.657 Na
2.005 2.407 20.100 Na
5.802 5.347 20.349 Na
7.397 7.605 1.807 Na
15.292 4.955 5.641 Na
3.419 5.257 9.210 Na
3.569 0.175 16.613 Na
7.481 2.277 9.528 Na
9.084 0.026 0.097 Na
14.865 0.177 5.803 Na
1.334 2.592 12.822 Na
10.894 2.949 5.765 Na
7.551 3.009 16.506 Na
12.459 5.259 9.416 Na
6.193 4.985 5.623 Na
9.090 5.166 3.788 Na
13.543 2.739 18.403 Na
12.034 5.406 2.103 Na
2.870 0.499 9.194 Na
12.049 0.462 9.312 Na
1.663 2.815 5.704 Na
0.050 0.014 0.108 Na
11.017 2.323 20.238 Na
9.144 5.262 14.817 Na
16.482 2.258 9.485 Na
10.818 7.677 13.038 Na
```

Calculated values
Magnetization (μB/atom): 0.0000
Formation energy from the elements (eV/atom): -2.416


(2)
Crystalline Na4In2Si3Ge2S3O24 at its relaxed geometry. Source: the Materials Project database, functional PBE-GGA.

The structure in POSCAR format:
```
Na4In2Si3Ge2S3O24
1.0
8.914 0.010 0.179
-4.448 7.773 -0.037
0.461 0.157 22.592
O Na Ge In S Si
72 12 6 6 9 9
Cartesian
4.110 6.555 20.778 O
2.077 4.968 19.602 O
5.765 1.377 16.964 O
-0.610 6.974 21.976 O
3.215 2.827 16.972 O
5.005 6.479 2.262 O
1.710 0.373 13.453 O
5.321 1.052 3.103 O
7.289 0.364 1.850 O
-0.519 1.467 4.351 O
1.064 1.282 1.983 O
-0.811 3.760 19.527 O
-1.183 5.480 16.958 O
5.630 4.284 17.001 O
3.293 7.683 15.631 O
6.358 2.378 12.184 O
1.071 3.857 8.133 O
2.770 2.715 3.029 O
0.860 1.780 15.834 O
7.580 0.330 18.394 O
3.690 4.242 14.417 O
6.365 2.942 21.098 O
4.137 1.111 14.466 O
1.022 3.724 1.809 O
6.384 2.449 5.644 O
3.954 6.247 6.934 O
1.307 6.768 10.691 O
0.773 1.698 9.346 O
1.451 6.465 17.041 O
-0.886 6.259 5.886 O
-1.469 5.560 10.557 O
-3.037 6.495 15.776 O
5.556 3.686 9.857 O
4.970 4.267 0.836 O
2.700 2.357 0.588 O
2.292 5.409 22.271 O
4.158 6.308 13.200 O
-0.422 1.687 20.794 O
0.810 6.849 1.766 O
2.853 7.834 9.275 O
5.390 1.276 0.638 O
-0.413 3.580 5.535 O
3.991 3.845 21.007 O
3.790 4.038 5.707 O
1.109 3.693 10.605 O
1.470 5.406 5.998 O
6.622 2.974 14.811 O
5.786 6.148 18.415 O
0.821 6.789 8.264 O
-0.393 6.832 12.992 O
-1.526 5.184 1.772 O
3.648 1.496 11.801 O
5.569 4.154 3.486 O
5.445 6.426 9.516 O
4.028 4.272 11.963 O
2.023 5.218 13.017 O
2.917 2.824 9.277 O
8.112 1.576 7.017 O
-2.732 7.370 4.521 O
0.807 3.900 17.238 O
-0.308 6.921 19.515 O
-2.296 7.903 20.633 O
3.326 6.392 4.352 O
-1.568 4.868 7.979 O
2.070 0.329 7.201 O
5.113 1.040 9.535 O
3.864 1.113 5.509 O
1.456 1.653 18.498 O
-0.473 3.743 21.964 O
-0.399 3.838 13.138 O
8.217 1.237 13.480 O
4.291 1.247 20.778 O
0.068 5.310 14.948 Na
2.840 5.477 1.914 Na
4.894 7.841 22.689 Na
1.813 7.673 13.440 Na
-4.136 7.761 11.353 Na
2.909 0.268 9.549 Na
-0.042 5.258 3.864 Na
6.068 4.946 5.918 Na
4.434 2.651 7.637 Na
4.806 2.574 18.739 Na
2.063 2.498 20.509 Na
7.594 2.975 16.959 Na
0.332 0.555 14.646 Ge
4.948 3.056 22.367 Ge
0.062 5.300 7.166 Ge
0.962 5.330 18.258 Ge
4.671 7.443 3.810 Ge
4.889 2.750 11.284 Ge
-0.060 5.275 0.381 In
0.106 5.228 11.753 In
4.740 2.671 15.598 In
4.659 7.742 8.082 In
4.508 2.627 4.346 In
4.869 7.806 19.308 In
-1.061 2.243 5.566 S
1.461 3.032 9.347 S
1.870 2.501 1.887 S
5.819 0.467 1.864 S
1.429 7.538 9.442 S
-0.812 7.678 20.682 S
-1.020 3.040 20.778 S
-2.675 5.634 16.912 S
3.482 5.002 13.199 S
5.810 4.969 2.133 Si
-1.642 7.744 5.786 Si
3.136 5.303 20.898 Si
1.678 2.445 17.114 Si
-2.483 5.112 9.411 Si
3.363 0.515 13.218 Si
7.409 2.700 13.451 Si
6.779 0.134 17.029 Si
3.104 5.505 5.815 Si
```

Calculated values
Magnetization (μB/atom): 0.0000
Formation energy from the elements (eV/atom): -2.224